1 | Material: TiP2O7
Method: DFT, meta-GGA r2SCAN
State: relaxed

Unit cell a=5.171 b=8.727 c=13.173 alpha=63.56 beta=90.00 gamma=90.00
Element x y z (fractional)
O  0.977  0.239  0.858
O  0.736  0.518  0.376
O  0.956  0.739  0.620
O  0.221  0.167  0.240
O  0.023  0.761  0.142
O  0.779  0.833  0.760
O  0.746  0.026  0.056
O  0.254  0.974  0.944
O  0.444  0.287  0.546
O  0.031  0.705  0.423
O  0.469  0.705  0.923
O  0.969  0.295  0.577
O  0.523  0.239  0.358
O  0.477  0.761  0.642
O  0.531  0.295  0.077
O  0.544  0.739  0.120
O  0.264  0.482  0.624
O  0.556  0.713  0.454
O  0.044  0.261  0.380
O  0.456  0.261  0.880
O  0.279  0.167  0.740
O  0.721  0.833  0.260
O  0.056  0.287  0.046
O  0.236  0.482  0.124
O  0.246  0.974  0.444
O  0.764  0.518  0.876
O  0.754  0.026  0.556
O  0.944  0.713  0.954
Ti  0.752  0.272  0.964
Ti  0.748  0.272  0.464
Ti  0.248  0.728  0.036
Ti  0.252  0.728  0.536
P  0.737  0.684  0.885
P  0.239  0.160  0.861
P  0.261  0.160  0.361
P  0.237  0.316  0.615
P  0.763  0.684  0.385
P  0.739  0.840  0.639
P  0.263  0.316  0.115
P  0.761  0.840  0.139

2 | Material: TiP2O7
Method: DFT, meta-GGA r2SCAN
State: relaxed

Unit cell a=8.133 b=8.133 c=8.133 alpha=90.00 beta=90.00 gamma=90.00
Element x y z (fractional)
O  0.942  0.286  0.585
O  0.942  0.214  0.085
O  0.442  0.214  0.415
O  0.714  0.415  0.058
O  0.286  0.585  0.942
O  0.500  0.500  0.500
O  0.500  0.000  0.000
O  0.915  0.058  0.786
O  0.058  0.786  0.915
O  0.085  0.558  0.714
O  0.415  0.058  0.714
O  0.415  0.442  0.214
O  0.585  0.558  0.786
O  0.286  0.915  0.442
O  0.214  0.415  0.442
O  0.915  0.442  0.286
O  0.085  0.942  0.214
O  0.214  0.085  0.942
O  0.442  0.286  0.915
O  0.585  0.942  0.286
O  0.714  0.085  0.558
O  0.558  0.786  0.585
O  0.786  0.915  0.058
O  0.000  0.500  0.000
O  0.000  0.000  0.500
O  0.058  0.714  0.415
O  0.786  0.585  0.558
O  0.558  0.714  0.085
P  0.111  0.611  0.889
P  0.889  0.111  0.611
P  0.111  0.889  0.389
P  0.611  0.889  0.111
P  0.389  0.111  0.889
P  0.889  0.389  0.111
P  0.389  0.389  0.389
P  0.611  0.611  0.611
Ti  0.500  0.500  0.000
Ti  0.000  0.000  0.000
Ti  0.500  0.000  0.500
Ti  0.000  0.500  0.500

3 | Material: TiP2O7
Method: DFT, meta-GGA r2SCAN
State: relaxed

Unit cell a=8.132 b=7.122 c=9.381 alpha=70.40 beta=90.00 gamma=90.00
Element x y z (fractional)
O  0.685  0.790  0.599
O  0.591  0.011  0.344
O  0.922  0.450  0.336
O  0.156  0.902  0.539
O  0.627  0.359  0.396
O  0.578  0.450  0.836
O  0.354  0.192  0.123
O  0.315  0.210  0.401
O  0.409  0.989  0.656
O  0.078  0.550  0.664
O  0.127  0.641  0.104
O  0.815  0.790  0.099
O  0.674  0.332  0.107
O  0.174  0.668  0.393
O  0.326  0.668  0.893
O  0.373  0.641  0.604
O  0.909  0.011  0.844
O  0.854  0.808  0.377
O  0.422  0.550  0.164
O  0.344  0.902  0.039
O  0.873  0.359  0.896
O  0.826  0.332  0.607
O  0.185  0.210  0.901
O  0.844  0.098  0.461
O  0.656  0.098  0.961
O  0.091  0.989  0.156
O  0.146  0.192  0.623
O  0.646  0.808  0.877
P  0.303  0.680  0.049
P  0.763  0.921  0.943
P  0.697  0.320  0.951
P  0.237  0.079  0.057
P  0.803  0.320  0.451
P  0.197  0.680  0.549
P  0.263  0.079  0.557
P  0.737  0.921  0.443
Ti  0.492  0.280  0.256
Ti  0.508  0.720  0.744
Ti  0.992  0.720  0.244
Ti  0.008  0.280  0.756

Most stable = 1

1 | Material: MgAl2O4
Method: DFT, meta-GGA r2SCAN
State: relaxed

Unit cell a=5.711 b=5.711 c=32.840 alpha=84.95 beta=84.95 gamma=59.94
Element x y z (fractional)
O  0.833  0.833  0.041
O  0.033  0.033  0.900
O  0.176  0.176  0.961
O  0.109  0.109  0.673
O  0.823  0.823  0.530
O  0.267  0.713  0.752
O  0.410  0.410  0.323
O  0.997  0.554  0.894
O  0.982  0.982  0.609
O  0.005  0.443  0.104
O  0.964  0.964  0.106
O  0.589  0.144  0.677
O  0.244  0.244  0.241
O  0.288  0.747  0.250
O  0.443  0.005  0.104
O  0.177  0.177  0.470
O  0.875  0.429  0.820
O  0.680  0.680  0.959
O  0.587  0.105  0.176
O  0.444  0.444  0.104
O  0.747  0.288  0.250
O  0.018  0.573  0.392
O  0.304  0.859  0.534
O  0.105  0.587  0.176
O  0.573  0.018  0.392
O  0.554  0.997  0.894
O  0.858  0.412  0.324
O  0.616  0.616  0.183
O  0.891  0.891  0.328
O  0.429  0.875  0.820
O  0.589  0.589  0.677
O  0.112  0.112  0.177
O  0.739  0.739  0.248
O  0.462  0.462  0.613
O  0.018  0.018  0.391
O  0.428  0.981  0.609
O  0.554  0.554  0.894
O  0.291  0.833  0.042
O  0.687  0.176  0.961
O  0.412  0.858  0.324
O  0.696  0.142  0.467
O  0.859  0.304  0.534
O  0.981  0.428  0.609
O  0.304  0.304  0.534
O  0.144  0.589  0.677
O  0.713  0.267  0.752
O  0.176  0.687  0.961
O  0.321  0.321  0.036
O  0.537  0.537  0.387
O  0.696  0.696  0.467
O  0.748  0.748  0.756
O  0.395  0.395  0.816
O  0.267  0.267  0.752
O  0.833  0.291  0.042
O  0.142  0.696  0.467
O  0.875  0.875  0.820
Al  0.141  0.644  0.072
Al  0.215  0.714  0.357
Al  0.000  0.500  0.500
Al  0.285  0.285  0.643
Al  0.000  0.000  0.500
Al  0.857  0.857  0.429
Al  0.786  0.286  0.643
Al  0.714  0.215  0.357
Al  0.644  0.141  0.072
Al  0.855  0.362  0.928
Al  0.340  0.340  0.981
Al  0.715  0.715  0.357
Al  0.941  0.941  0.161
Al  0.571  0.072  0.785
Al  0.362  0.855  0.928
Al  0.284  0.284  0.142
Al  0.921  0.433  0.215
Al  0.571  0.571  0.785
Al  0.855  0.855  0.928
Al  0.141  0.141  0.072
Al  0.286  0.786  0.643
Al  0.573  0.573  0.286
Al  0.428  0.428  0.714
Al  0.433  0.921  0.215
Al  0.143  0.143  0.571
Al  0.714  0.714  0.856
Al  0.072  0.571  0.785
Al  0.500  0.000  0.500
Mg  0.197  0.197  0.411
Mg  0.804  0.804  0.589
Mg  0.000  0.000  0.001
Mg  0.625  0.625  0.124
Mg  0.483  0.483  0.553
Mg  0.089  0.089  0.732
Mg  0.915  0.915  0.269
Mg  0.375  0.375  0.875
Mg  0.053  0.053  0.840
Mg  0.660  0.660  0.020
Mg  0.431  0.431  0.214
Mg  0.518  0.518  0.446
Mg  0.767  0.767  0.696
Mg  0.232  0.232  0.302

2 | Material: MgAl2O4
Method: DFT, meta-GGA r2SCAN
State: relaxed

Unit cell a=5.679 b=5.679 c=5.679 alpha=120.39 beta=119.62 gamma=90.00
Element x y z (fractional)
O  0.247  0.732  0.985
O  0.765  0.265  0.499
O  0.753  0.739  0.485
O  0.753  0.268  0.015
O  0.247  0.261  0.515
O  0.266  0.265  0.001
O  0.235  0.735  0.501
O  0.734  0.735  0.999
Mg  0.500  0.000  0.000
Mg  0.500  0.500  0.500
Al  0.116  0.866  0.250
Al  0.500  0.500  0.000
Al  0.000  0.500  0.500
Al  0.884  0.134  0.750

Most stable = 1